# 1
DFT (PBE) results for a relaxed structure of KCO3.

```
KCO3
1.0
5.787 0.000 0.000
0.000 4.006 0.000
0.000 2.531 15.118
O K C
12 4 4
direct
0.667 0.774 0.905
0.333 0.226 0.095
0.962 0.913 0.700
0.718 0.260 0.094
0.782 0.260 0.594
0.167 0.226 0.595
0.282 0.740 0.906
0.038 0.087 0.300
0.833 0.774 0.405
0.538 0.913 0.200
0.218 0.740 0.406
0.462 0.087 0.800
0.473 0.696 0.650
0.027 0.696 0.150
0.973 0.304 0.850
0.527 0.304 0.350
0.529 0.135 0.129
0.971 0.135 0.629
0.471 0.865 0.871
0.029 0.865 0.371
```

Results
E (MP2020) = -6.85 eV/atom
total moment = 1.00 μB per formula unit

---

# 2
DFT (PBE) results for a relaxed structure of SbO2.

```
SbO2
1.0
-4.659 0.402 3.101
3.723 -3.479 -2.350
6.154 0.370 9.200
O Sb
8 4
direct
0.087 0.913 0.250
0.500 0.500 0.500
0.754 0.246 0.092
0.246 0.754 0.908
0.913 0.087 0.750
0.754 0.246 0.408
0.500 0.500 0.000
0.246 0.754 0.592
0.133 0.867 0.077
0.867 0.133 0.923
0.133 0.867 0.423
0.867 0.133 0.577
```

Results
E (MP2020) = -6.23 eV/atom
total moment = 0.00 μB per formula unit

---

# 3
DFT (PBE) results for a relaxed structure of Fe7S12.

```
Fe7S12
1.0
-4.432 2.905 1.060
-0.170 -2.077 4.982
21.530 27.736 14.024
Fe S
28 48
direct
0.242 0.492 0.501
0.281 0.988 0.429
0.745 0.534 0.431
0.719 0.988 0.929
0.255 0.534 0.931
0.749 0.525 0.574
0.735 0.993 0.495
0.756 0.496 0.715
0.264 0.993 0.710
0.281 0.988 0.286
0.265 0.993 0.995
0.716 0.998 0.642
0.244 0.496 0.215
0.262 0.993 0.853
0.284 0.998 0.142
0.244 0.493 0.358
0.749 0.531 0.145
0.756 0.493 0.858
0.685 0.966 0.069
0.255 0.534 0.788
0.738 0.993 0.353
0.745 0.534 0.288
0.315 0.966 0.569
0.251 0.525 0.074
0.736 0.993 0.210
0.251 0.531 0.645
0.719 0.988 0.786
0.758 0.492 0.001
0.874 0.115 0.841
0.349 0.901 0.657
0.368 0.360 0.556
0.623 0.385 0.198
0.369 0.868 0.516
0.365 0.873 0.373
0.377 0.386 0.841
0.126 0.115 0.341
0.365 0.377 0.412
0.631 0.868 0.016
0.635 0.377 0.912
0.632 0.360 0.056
0.636 0.874 0.730
0.364 0.874 0.230
0.317 0.901 0.087
0.621 0.386 0.484
0.866 0.615 0.803
0.348 0.902 0.800
0.636 0.377 0.770
0.134 0.615 0.303
0.862 0.621 0.661
0.877 0.116 0.983
0.376 0.393 0.127
0.864 0.609 0.518
0.136 0.609 0.018
0.135 0.611 0.732
0.377 0.385 0.698
0.623 0.386 0.341
0.364 0.377 0.270
0.122 0.118 0.198
0.624 0.393 0.627
0.635 0.873 0.873
0.866 0.616 0.946
0.683 0.901 0.587
0.123 0.116 0.483
0.866 0.605 0.090
0.134 0.605 0.590
0.866 0.610 0.375
0.651 0.901 0.157
0.134 0.610 0.875
0.865 0.611 0.232
0.878 0.118 0.698
0.652 0.902 0.443
0.348 0.902 0.943
0.652 0.902 0.300
0.134 0.616 0.446
0.138 0.621 0.161
0.379 0.386 0.984
```

Results
E (MP2020) = -6.32 eV/atom
total moment = 0.00 μB per formula unit

---

# 4
DFT (PBE) results for a relaxed structure of Rb14Na3Al17Si31O96.

```
Rb14Na3Al17Si31O96
1.0
-17.607 0.000 0.000
-8.646 15.440 0.000
-8.776 5.176 -14.679
O Si Rb Na Al
96 31 14 3 17
direct
0.792 0.221 0.999
0.310 0.034 0.845
0.143 0.855 0.360
0.631 0.852 0.861
0.172 0.684 0.677
0.225 0.490 0.999
0.983 0.485 0.795
0.303 0.841 0.049
0.635 0.144 0.857
0.146 0.858 0.857
0.186 0.965 0.382
0.011 0.224 0.482
0.044 0.819 0.597
0.488 0.223 0.005
0.844 0.371 0.142
0.783 0.212 0.497
0.956 0.202 0.669
0.964 0.404 0.173
0.395 0.960 0.183
0.670 0.965 0.671
0.395 0.168 0.971
0.840 0.307 0.041
0.857 0.138 0.365
0.855 0.857 0.155
0.970 0.967 0.373
0.162 0.856 0.618
0.858 0.146 0.857
0.047 0.047 0.803
0.222 0.510 0.779
0.191 0.671 0.968
0.861 0.857 0.626
0.828 0.043 0.310
0.041 0.604 0.815
0.663 0.665 0.980
0.602 0.039 0.818
0.140 0.374 0.142
0.686 0.167 0.680
0.961 0.961 0.186
0.858 0.158 0.620
0.223 0.009 0.482
0.134 0.379 0.847
0.991 0.231 0.792
0.955 0.683 0.179
0.369 0.850 0.146
0.597 0.820 0.046
0.134 0.853 0.142
0.369 0.137 0.142
0.814 0.607 0.045
0.170 0.392 0.972
0.387 0.968 0.974
0.822 0.039 0.600
0.318 0.827 0.318
0.222 0.793 0.000
0.605 0.034 0.043
0.031 0.609 0.041
0.853 0.135 0.141
0.040 0.039 0.604
0.627 0.859 0.156
0.140 0.140 0.849
0.000 0.503 0.217
0.856 0.633 0.153
0.499 0.783 0.223
0.307 0.306 0.046
0.995 0.785 0.217
0.968 0.387 0.973
0.319 0.318 0.825
0.773 0.509 0.225
0.788 0.000 0.484
0.203 0.954 0.670
0.787 0.484 0.997
0.043 0.827 0.310
0.974 0.170 0.973
0.231 0.991 0.793
0.318 0.041 0.310
0.142 0.143 0.354
0.812 0.032 0.043
0.964 0.183 0.387
0.141 0.641 0.855
0.682 0.689 0.173
0.374 0.136 0.848
0.824 0.313 0.323
0.966 0.668 0.671
0.480 0.785 0.006
0.671 0.192 0.966
0.006 0.785 0.483
0.510 0.219 0.776
0.485 0.986 0.795
0.681 0.956 0.180
0.500 0.000 0.218
0.036 0.309 0.844
0.031 0.814 0.042
0.855 0.636 0.862
0.218 0.784 0.492
0.171 0.973 0.973
0.785 0.996 0.217
0.039 0.319 0.308
0.861 0.390 0.039
0.781 0.606 0.147
0.604 0.967 0.144
0.031 0.393 0.865
0.215 0.038 0.387
0.034 0.209 0.865
0.965 0.606 0.144
0.144 0.608 0.781
0.861 0.033 0.389
0.392 0.210 0.035
0.030 0.857 0.214
0.388 0.863 0.041
0.609 0.142 0.782
0.215 0.859 0.392
0.209 0.033 0.865
0.857 0.032 0.214
0.037 0.217 0.387
0.787 0.142 0.602
0.147 0.785 0.599
0.212 0.392 0.035
0.036 0.859 0.387
0.602 0.787 0.145
0.857 0.213 0.395
0.396 0.034 0.213
0.034 0.399 0.210
0.393 0.032 0.865
0.963 0.785 0.144
0.784 0.964 0.145
0.396 0.855 0.219
0.205 0.868 0.037
0.867 0.206 0.036
0.417 0.979 0.685
0.264 0.265 0.743
0.257 0.753 0.743
0.740 0.738 0.275
0.700 0.407 0.962
0.912 0.739 0.894
0.257 0.257 0.250
0.409 0.703 0.963
0.977 0.413 0.685
0.752 0.753 0.743
0.934 0.947 0.903
0.250 0.735 0.261
0.738 0.254 0.263
0.752 0.254 0.742
0.015 0.478 0.002
0.978 0.977 0.569
0.528 0.007 0.974
0.217 0.401 0.855
0.851 0.400 0.220
0.147 0.783 0.964
0.601 0.151 0.965
0.968 0.778 0.598
0.603 0.961 0.782
0.599 0.778 0.970
0.778 0.600 0.969
0.780 0.965 0.600
0.154 0.965 0.777
0.966 0.154 0.776
0.154 0.969 0.598
0.150 0.603 0.964
0.783 0.148 0.964
0.971 0.153 0.597
0.962 0.601 0.781
0.401 0.216 0.855
```

Results
E (MP2020) = -7.61 eV/atom
total moment = 0.00 μB per formula unit

---

# 5
DFT (PBE) results for a relaxed structure of BaSrZr2O6.

```
BaSrZr2O6
1.0
4.226 0.000 0.000
0.000 4.226 0.000
0.000 0.000 8.452
Ba O Sr Zr
1 6 1 2
direct
0.500 0.500 0.000
0.000 0.000 0.000
0.000 0.500 0.256
0.000 0.000 0.500
0.500 0.000 0.744
0.500 0.000 0.256
0.000 0.500 0.744
0.500 0.500 0.500
0.000 0.000 0.253
0.000 0.000 0.747
```

Results
E (MP2020) = -8.66 eV/atom
total moment = 0.00 μB per formula unit

---

# 6
DFT (PBE) results for a relaxed structure of Na6Hf3MgGe2P4O24.

```
Na6Hf3MgGe2P4O24
1.0
-2.768 -0.655 -15.596
6.743 -6.136 -0.932
-4.103 -5.303 6.203
P O Ge Hf Mg Na
8 48 4 6 2 12
direct
0.999 0.959 0.746
0.001 0.045 0.255
0.499 0.459 0.746
0.358 0.896 0.765
0.501 0.545 0.255
0.145 0.606 0.241
0.645 0.106 0.241
0.858 0.396 0.765
0.915 0.127 0.257
0.241 0.666 0.253
0.257 0.847 0.742
0.648 0.939 0.247
0.036 0.326 0.561
0.649 0.868 0.936
0.357 0.068 0.759
0.569 0.654 0.242
0.451 0.840 0.937
0.354 0.138 0.066
0.078 0.864 0.734
0.548 0.163 0.067
0.659 0.091 0.742
0.144 0.665 0.400
0.860 0.346 0.602
0.929 0.848 0.759
0.561 0.560 0.905
0.415 0.627 0.257
0.644 0.165 0.400
0.048 0.663 0.067
0.250 0.309 0.753
0.565 0.453 0.426
0.857 0.568 0.759
0.253 0.191 0.248
0.578 0.364 0.734
0.848 0.406 0.253
0.943 0.936 0.094
0.429 0.348 0.759
0.469 0.164 0.437
0.750 0.809 0.753
0.930 0.046 0.571
0.536 0.826 0.561
0.348 0.906 0.253
0.061 0.060 0.905
0.753 0.691 0.248
0.430 0.546 0.571
0.443 0.436 0.094
0.360 0.846 0.602
0.159 0.591 0.742
0.757 0.347 0.742
0.148 0.439 0.247
0.065 0.953 0.426
0.149 0.368 0.936
0.854 0.638 0.066
0.741 0.166 0.253
0.969 0.664 0.437
0.951 0.340 0.937
0.069 0.154 0.242
0.850 0.600 0.253
0.150 0.400 0.751
0.350 0.100 0.253
0.650 0.900 0.751
0.106 0.754 0.559
0.606 0.254 0.559
0.394 0.747 0.442
0.898 0.755 0.936
0.894 0.247 0.442
0.398 0.255 0.936
0.600 0.743 0.059
0.100 0.243 0.059
0.997 0.385 0.232
0.742 0.746 0.481
0.186 0.079 0.809
0.511 0.095 0.770
0.797 0.927 0.211
0.011 0.595 0.770
0.251 0.748 0.000
0.686 0.579 0.809
0.242 0.246 0.481
0.297 0.427 0.211
0.497 0.885 0.232
0.751 0.248 0.000
```

Results
E (MP2020) = -7.63 eV/atom
total moment = 0.00 μB per formula unit

---

# 7
DFT (PBE) results for a relaxed structure of GdMgHg2.

```
GdMgHg2
1.0
0.000 3.618 3.618
3.618 0.000 3.618
3.618 3.618 0.000
Gd Hg Mg
1 2 1
direct
0.500 0.500 0.500
0.250 0.250 0.250
0.750 0.750 0.750
0.000 0.000 0.000
```

Results
uncorrected energy = -18.120 eV per cell

---

# 8
DFT (PBE) results for a relaxed structure of EuZrF7.

```
EuZrF7
1.0
0.000 -5.812 0.000
-6.093 0.000 1.323
-0.125 0.000 -8.443
Zr F Eu
2 14 2
direct
0.709 0.812 0.223
0.209 0.188 0.777
0.999 0.624 0.219
0.946 0.967 0.761
0.446 0.033 0.239
0.422 0.925 0.766
0.713 0.856 0.470
0.922 0.075 0.234
0.205 0.243 0.021
0.385 0.549 0.524
0.885 0.451 0.476
0.500 0.548 0.215
0.213 0.144 0.530
0.499 0.376 0.781
0.000 0.452 0.785
0.705 0.757 0.979
0.199 0.344 0.315
0.699 0.656 0.685
```

Results
E (MP2020) = -7.52 eV/atom

---

# 9
DFT (PBE) results for a relaxed structure of Gd3Mn3Ga2Si.

```
Gd3Mn3Ga2Si
1.0
2.030 -2.278 -2.820
6.142 2.681 2.256
3.568 -3.217 5.167
Gd Ga Si Mn
3 2 1 3
direct
0.500 0.577 0.417
0.500 0.418 0.005
0.500 0.006 0.577
0.000 0.666 0.667
0.500 0.001 0.000
0.000 0.334 0.332
0.000 0.006 0.234
0.000 0.763 0.010
0.000 0.230 0.758
```

Results
E (MP2020) = -9.34 eV/atom
total moment = 11.98 μB per formula unit